No. 1
Material: ZnFe4NiO8
Method: DFT, PBE+U
State: relaxed

Properties
- Distance to the lowest polymorph of the same formula: 37.5 meV/atom
- Energy of formation from the pure elements: -1.589 eV/atom
- MP2020-corrected energy: -822.0 eV/cell

The structure in CIF format:
```
data_ZnFe4NiO8
_chemical_formula_sum 'Zn8 Fe32 Ni8 O64'
_cell_length_a 11.879
_cell_length_b 11.924
_cell_length_c 8.384
_cell_angle_alpha 90.00
_cell_angle_beta 90.03
_cell_angle_gamma 90.00
_space_group_name_H-M_alt 'C 1 m 1'
_space_group_IT_number 8
loop_
_space_group_symop_operation_xyz
'x,y,z'
'x,-y,z'
'x+1/2,y+1/2,z'
'x+1/2,-y+1/2,z'
loop_
_atom_site_label
_atom_site_type_symbol
_atom_site_fract_x
_atom_site_fract_y
_atom_site_fract_z
Zn1 Zn 0.000 0.000 0.000
Zn2 Zn 0.007 0.500 0.996
Zn3 Zn 0.253 0.250 0.488
Fe1 Fe 0.004 0.374 0.622
Fe2 Fe 0.005 0.127 0.623
Fe3 Fe 0.005 0.250 0.250
Fe4 Fe 0.132 0.000 0.368
Fe5 Fe 0.253 0.123 0.125
Fe6 Fe 0.253 0.376 0.125
Fe7 Fe 0.253 0.500 0.753
Fe8 Fe 0.254 0.000 0.750
Fe9 Fe 0.375 0.000 0.370
Fe10 Fe 0.380 0.250 0.874
Ni1 Ni 0.128 0.250 0.872
Ni2 Ni 0.130 0.500 0.371
Ni3 Ni 0.376 0.500 0.369
O1 O 0.000 0.367 0.856
O2 O 0.001 0.134 0.862
O3 O 0.011 0.116 0.376
O4 O 0.117 0.500 0.622
O5 O 0.121 0.247 0.627
O6 O 0.124 0.000 0.608
O7 O 0.141 0.249 0.123
O8 O 0.142 0.000 0.136
O9 O 0.144 0.500 0.128
O10 O 0.253 0.382 0.352
O11 O 0.254 0.109 0.355
O12 O 0.256 0.129 0.889
O13 O 0.256 0.369 0.887
O14 O 0.361 0.500 0.126
O15 O 0.365 0.000 0.135
O16 O 0.368 0.247 0.119
O17 O 0.378 0.000 0.606
O18 O 0.386 0.500 0.620
O19 O 0.390 0.247 0.630
O20 O 0.496 0.117 0.382
```

No. 2
Material: FeO
Method: DFT, PBE+U
State: relaxed

Properties
- Energy of formation from the pure elements: -1.181 eV/atom
- MP2020-corrected energy: -126.2 eV/cell

The structure in CIF format:
```
data_FeO
_chemical_formula_sum 'Fe8 O8'
_cell_length_a 3.429
_cell_length_b 5.904
_cell_length_c 10.536
_cell_angle_alpha 90.00
_cell_angle_beta 90.30
_cell_angle_gamma 90.00
_space_group_name_H-M_alt 'C 1 c 1'
_space_group_IT_number 9
loop_
_space_group_symop_operation_xyz
'x,y,z'
'x,-y,z+1/2'
'x+1/2,y+1/2,z'
'x+1/2,-y+1/2,z+1/2'
loop_
_atom_site_label
_atom_site_type_symbol
_atom_site_fract_x
_atom_site_fract_y
_atom_site_fract_z
Fe1 Fe 0.000 0.006 0.000
Fe2 Fe 0.020 0.332 0.748
O1 O 0.014 0.335 0.548
O2 O 0.026 0.004 0.798
```

No. 3
Material: FeO
Method: DFT, PBE+U
State: relaxed

Properties
- Energy of formation from the pure elements: -1.368 eV/atom
- MP2020-corrected energy: -64.6 eV/cell

The structure in CIF format:
```
data_FeO
_chemical_formula_sum 'Fe4 O4'
_cell_length_a 5.365
_cell_length_b 3.049
_cell_length_c 5.275
_cell_angle_alpha 90.00
_cell_angle_beta 92.55
_cell_angle_gamma 90.00
_space_group_name_H-M_alt 'C 1 2/m 1'
_space_group_IT_number 12
loop_
_space_group_symop_operation_xyz
'x,y,z'
'-x,-y,-z'
'-x,y,-z'
'x,-y,z'
'x+1/2,y+1/2,z'
'-x+1/2,-y+1/2,-z'
'-x+1/2,y+1/2,-z'
'x+1/2,-y+1/2,z'
loop_
_atom_site_label
_atom_site_type_symbol
_atom_site_fract_x
_atom_site_fract_y
_atom_site_fract_z
Fe1 Fe 0.000 0.000 0.000
Fe2 Fe 0.000 0.000 0.500
O1 O 0.165 0.500 0.256
```

No. 4
Material: Fe25O32
Method: DFT, PBE+U
State: relaxed

Properties
- Energy of formation from the pure elements: -1.437 eV/atom
- MP2020-corrected energy: -904.0 eV/cell

The structure in CIF format:
```
data_Fe25O32
_chemical_formula_sum 'Fe50 O64'
_cell_length_a 2.877
_cell_length_b 26.324
_cell_length_c 15.280
_cell_angle_alpha 90.00
_cell_angle_beta 90.00
_cell_angle_gamma 90.00
_space_group_name_H-M_alt 'A m m 2'
_space_group_IT_number 38
loop_
_space_group_symop_operation_xyz
'x,y,z'
'-x,-y,z'
'-x,y,z'
'x,-y,z'
'x,y+1/2,z+1/2'
'-x,-y+1/2,z+1/2'
'-x,y+1/2,z+1/2'
'x,-y+1/2,z+1/2'
loop_
_atom_site_label
_atom_site_type_symbol
_atom_site_fract_x
_atom_site_fract_y
_atom_site_fract_z
Fe1 Fe 0.000 0.000 0.000
Fe2 Fe 0.000 0.000 0.187
Fe3 Fe 0.000 0.000 0.382
Fe4 Fe 0.000 0.000 0.798
Fe5 Fe 0.000 0.101 0.693
Fe6 Fe 0.000 0.195 0.599
Fe7 Fe 0.000 0.207 0.003
Fe8 Fe 0.500 0.000 0.602
Fe9 Fe 0.500 0.093 0.486
Fe10 Fe 0.500 0.098 0.895
Fe11 Fe 0.500 0.103 0.283
Fe12 Fe 0.500 0.109 0.088
Fe13 Fe 0.500 0.194 0.398
Fe14 Fe 0.500 0.201 0.806
Fe15 Fe 0.500 0.204 0.206
O1 O 0.000 0.065 0.574
O2 O 0.000 0.077 0.001
O3 O 0.000 0.077 0.387
O4 O 0.000 0.078 0.184
O5 O 0.000 0.140 0.809
O6 O 0.000 0.156 0.485
O7 O 0.000 0.166 0.116
O8 O 0.000 0.167 0.296
O9 O 0.000 0.233 0.716
O10 O 0.000 0.240 0.883
O11 O 0.500 0.000 0.093
O12 O 0.500 0.000 0.283
O13 O 0.500 0.000 0.468
O14 O 0.500 0.000 0.900
O15 O 0.500 0.051 0.734
O16 O 0.500 0.149 0.650
O17 O 0.500 0.162 0.966
O18 O 0.500 0.243 0.549
```

No. 5
Material: Fe3O4
Method: DFT, PBE+U
State: relaxed

Properties
- Energy of formation from the pure elements: -1.605 eV/atom
- MP2020-corrected energy: -225.7 eV/cell

The structure in CIF format:
```
data_Fe3O4
_chemical_formula_sum 'Fe12 O16'
_cell_length_a 6.063
_cell_length_b 6.066
_cell_length_c 8.685
_cell_angle_alpha 90.00
_cell_angle_beta 90.21
_cell_angle_gamma 90.00
_space_group_name_H-M_alt 'P 1 2/m 1'
_space_group_IT_number 10
loop_
_space_group_symop_operation_xyz
'x,y,z'
'-x,-y,-z'
'-x,y,-z'
'x,-y,z'
loop_
_atom_site_label
_atom_site_type_symbol
_atom_site_fract_x
_atom_site_fract_y
_atom_site_fract_z
Fe1 Fe 0.000 0.000 0.000
Fe2 Fe 0.000 0.500 0.500
Fe3 Fe 0.247 0.000 0.622
Fe4 Fe 0.248 0.500 0.878
Fe5 Fe 0.253 0.252 0.251
Fe6 Fe 0.500 0.000 0.000
Fe7 Fe 0.500 0.500 0.500
O1 O 0.012 0.000 0.243
O2 O 0.024 0.500 0.268
O3 O 0.239 0.258 0.493
O4 O 0.241 0.232 0.021
O5 O 0.477 0.500 0.259
O6 O 0.483 0.000 0.258
```

No. 6
Material: Fe5O8
Method: DFT, PBE+U
State: relaxed

Properties
- Distance to the lowest polymorph of the same formula: 18.3 meV/atom
- Energy of formation from the pure elements: -1.460 eV/atom
- MP2020-corrected energy: -403.6 eV/cell

The structure in CIF format:
```
data_Fe5O8
_chemical_formula_sum 'Fe20 O32'
_cell_length_a 8.503
_cell_length_b 8.503
_cell_length_c 8.503
_cell_angle_alpha 90.00
_cell_angle_beta 90.00
_cell_angle_gamma 90.00
_space_group_name_H-M_alt 'F -4 3 m'
_space_group_IT_number 216
_space_group_name_Hall 'F -4 2 3'
loop_
_atom_site_label
_atom_site_type_symbol
_atom_site_fract_x
_atom_site_fract_y
_atom_site_fract_z
Fe1 Fe 0.000 0.000 0.000
Fe2 Fe 0.121 0.121 0.621
O1 O 0.112 0.112 0.388
O2 O 0.133 0.133 0.867
```